Computed, not measured: a relaxed structure of CoH10C4N4O6 at the GGA+U level of DFT.

abc: 12.108 12.108 15.447
angles: 67.50 67.50 89.51
Positions (direct):
Co: 0.251 0.241 0.997
Co: 0.759 0.749 0.503
Co: 0.749 0.759 0.003
Co: 0.241 0.251 0.497
Co: 0.749 0.257 0.003
Co: 0.743 0.251 0.497
Co: 0.251 0.743 0.997
Co: 0.257 0.749 0.503
H: 0.544 0.347 0.669
H: 0.653 0.456 0.831
H: 0.456 0.653 0.331
H: 0.347 0.544 0.169
H: 0.504 0.486 0.607
H: 0.514 0.496 0.893
H: 0.496 0.514 0.393
H: 0.486 0.504 0.107
H: 0.241 0.460 0.821
H: 0.540 0.759 0.679
H: 0.759 0.540 0.179
H: 0.460 0.241 0.321
H: 0.330 0.542 0.688
H: 0.458 0.670 0.812
H: 0.670 0.458 0.312
H: 0.542 0.330 0.188
H: 0.971 0.018 0.327
H: 0.982 0.029 0.173
H: 0.029 0.982 0.673
H: 0.018 0.971 0.827
H: 0.004 0.098 0.389
H: 0.902 0.996 0.111
H: 0.996 0.902 0.611
H: 0.098 0.004 0.889
H: 0.173 0.242 0.307
H: 0.758 0.827 0.193
H: 0.827 0.758 0.693
H: 0.242 0.173 0.807
H: 0.252 0.299 0.172
H: 0.701 0.748 0.328
H: 0.748 0.701 0.828
H: 0.299 0.252 0.672
H: 0.584 0.044 0.399
H: 0.956 0.416 0.101
H: 0.416 0.956 0.601
H: 0.044 0.584 0.899
H: 0.707 0.164 0.334
H: 0.836 0.293 0.166
H: 0.293 0.836 0.666
H: 0.164 0.707 0.834
H: 0.494 0.988 0.316
H: 0.012 0.506 0.184
H: 0.506 0.012 0.684
H: 0.988 0.494 0.816
H: 0.556 0.053 0.180
H: 0.947 0.444 0.320
H: 0.444 0.947 0.820
H: 0.053 0.556 0.680
H: 0.931 0.444 0.608
H: 0.556 0.069 0.892
H: 0.069 0.556 0.392
H: 0.444 0.931 0.108
H: 0.805 0.498 0.672
H: 0.502 0.195 0.828
H: 0.195 0.502 0.328
H: 0.498 0.805 0.172
H: 0.938 0.216 0.829
H: 0.784 0.062 0.671
H: 0.062 0.784 0.171
H: 0.216 0.938 0.329
H: 0.011 0.294 0.694
H: 0.706 0.989 0.806
H: 0.989 0.706 0.306
H: 0.294 0.011 0.194
H: 0.284 0.975 0.041
H: 0.025 0.716 0.459
H: 0.716 0.025 0.959
H: 0.975 0.284 0.541
H: 0.506 0.304 0.975
H: 0.696 0.494 0.525
H: 0.494 0.696 0.025
H: 0.304 0.506 0.475
H: 0.993 0.192 0.015
H: 0.808 0.007 0.485
H: 0.007 0.808 0.985
H: 0.192 0.993 0.515
H: 0.176 0.481 0.039
H: 0.519 0.824 0.461
H: 0.824 0.519 0.961
H: 0.481 0.176 0.539
C: 0.391 0.391 0.760
C: 0.609 0.609 0.740
C: 0.609 0.609 0.240
C: 0.391 0.391 0.260
C: 0.115 0.157 0.236
C: 0.843 0.885 0.264
C: 0.885 0.843 0.764
C: 0.157 0.115 0.736
C: 0.217 0.989 0.007
C: 0.011 0.783 0.493
C: 0.783 0.011 0.993
C: 0.989 0.217 0.507
C: 0.490 0.206 0.020
C: 0.794 0.510 0.480
C: 0.510 0.794 0.980
C: 0.206 0.490 0.520
C: 0.647 0.115 0.243
C: 0.885 0.353 0.257
C: 0.353 0.885 0.757
C: 0.115 0.647 0.743
C: 0.856 0.352 0.765
C: 0.648 0.144 0.735
C: 0.144 0.648 0.235
C: 0.352 0.856 0.265
C: 0.013 0.291 0.977
C: 0.709 0.987 0.523
C: 0.987 0.709 0.023
C: 0.291 0.013 0.477
C: 0.276 0.492 0.004
C: 0.508 0.724 0.496
C: 0.724 0.508 0.996
C: 0.492 0.276 0.504
N: 0.483 0.407 0.670
N: 0.593 0.517 0.830
N: 0.517 0.593 0.330
N: 0.407 0.483 0.170
N: 0.318 0.476 0.758
N: 0.524 0.682 0.742
N: 0.682 0.524 0.242
N: 0.476 0.318 0.258
N: 0.029 0.079 0.326
N: 0.921 0.971 0.174
N: 0.971 0.921 0.674
N: 0.079 0.029 0.826
N: 0.189 0.236 0.239
N: 0.764 0.811 0.261
N: 0.811 0.764 0.761
N: 0.236 0.189 0.739
N: 0.646 0.107 0.332
N: 0.893 0.354 0.168
N: 0.354 0.893 0.668
N: 0.107 0.646 0.832
N: 0.564 0.037 0.247
N: 0.963 0.436 0.253
N: 0.436 0.963 0.753
N: 0.037 0.564 0.747
N: 0.864 0.437 0.674
N: 0.563 0.136 0.826
N: 0.136 0.563 0.326
N: 0.437 0.864 0.174
N: 0.940 0.279 0.762
N: 0.721 0.060 0.738
N: 0.060 0.721 0.238
N: 0.279 0.940 0.262
O: 0.375 0.298 0.842
O: 0.702 0.625 0.658
O: 0.625 0.702 0.158
O: 0.298 0.375 0.342
O: 0.127 0.150 0.152
O: 0.850 0.873 0.348
O: 0.873 0.850 0.848
O: 0.150 0.127 0.652
O: 0.190 0.094 0.976
O: 0.906 0.810 0.524
O: 0.810 0.906 0.024
O: 0.094 0.190 0.476
O: 0.387 0.148 0.045
O: 0.852 0.613 0.455
O: 0.613 0.852 0.955
O: 0.148 0.387 0.545
O: 0.118 0.342 0.956
O: 0.658 0.882 0.544
O: 0.882 0.658 0.044
O: 0.342 0.118 0.456
O: 0.325 0.401 0.998
O: 0.599 0.675 0.502
O: 0.675 0.599 0.002
O: 0.401 0.325 0.498
O: 0.771 0.344 0.849
O: 0.656 0.229 0.651
O: 0.229 0.656 0.151
O: 0.344 0.771 0.349
O: 0.725 0.193 0.158
O: 0.807 0.275 0.342
O: 0.275 0.807 0.842
O: 0.193 0.725 0.658
O: 0.931 0.348 0.957
O: 0.652 0.069 0.543
O: 0.069 0.652 0.043
O: 0.348 0.931 0.457
O: 0.335 0.596 0.973
O: 0.404 0.665 0.527
O: 0.665 0.404 0.027
O: 0.596 0.335 0.473
O: 0.172 0.899 0.002
O: 0.101 0.828 0.498
O: 0.828 0.101 0.998
O: 0.899 0.172 0.502
O: 0.574 0.158 0.044
O: 0.842 0.426 0.456
O: 0.426 0.842 0.956
O: 0.158 0.574 0.544

Summary:
The formation energy from the elements is -0.831 eV per atom. The value obtained for the calculated volume is 9.5 Å³/atom. Its crystal system is monoclinic. The calculation puts the electronic total energy at -6.240 eV per atom. Its space group is C2/c.